Material: Li2Mn3CuO8
Method: DFT, PBE with a Hubbard U
State: relaxed

## Properties
total moment: 8.00 μB per formula unit
calculated formation energy: -1.83 eV/atom
calculated total energy: -6.439 eV/atom
excess energy over the best structure of this formula in the dataset: 0.028 eV/atom

Lattice parameters (Å, degrees): 5.927 5.927 5.927 58.98 58.98 58.98
Element x y z (fractional)
Li1 0.120 0.120 0.120
Li2 0.497 0.497 0.497
Mn1 0.006 0.499 0.499
Mn2 0.499 0.006 0.499
Mn3 0.499 0.499 0.006
Cu1 0.884 0.884 0.884
O1 0.263 0.263 0.263
O2 0.250 0.250 0.710
O3 0.250 0.710 0.250
O4 0.710 0.250 0.250
O5 0.290 0.746 0.746
O6 0.746 0.290 0.746
O7 0.746 0.746 0.290
O8 0.739 0.739 0.739